(1)
Here is crystalline CuBiPtS3 at its relaxed geometry from the Materials Project database. Energies are from PBE.

Cell lengths 4.963, 7.781, 12.693 Å; angles 90.00, 90.00, 90.00 degrees
Fractional coordinates of all 24 atoms:
S 0.735 0.861 0.588
S 0.259 0.615 0.703
S 0.741 0.115 0.797
S 0.740 0.367 0.588
S 0.765 0.139 0.088
S 0.759 0.885 0.297
S 0.241 0.385 0.203
S 0.260 0.867 0.912
S 0.235 0.639 0.412
S 0.240 0.133 0.412
S 0.760 0.633 0.088
S 0.265 0.361 0.912
Bi 0.399 0.885 0.131
Bi 0.101 0.115 0.631
Bi 0.899 0.615 0.869
Bi 0.601 0.385 0.369
Cu 0.473 0.886 0.441
Cu 0.527 0.386 0.059
Cu 0.027 0.114 0.941
Cu 0.973 0.614 0.559
Pt 0.005 0.636 0.249
Pt 0.495 0.364 0.749
Pt 0.995 0.136 0.251
Pt 0.505 0.864 0.751


(2)
Here is crystalline Tm3Ga at its relaxed geometry from the Materials Project database. Energies are from PBE.

Cell lengths 6.676, 6.676, 5.224 Å; angles 90.00, 90.00, 120.00 degrees
Fractional coordinates of all 8 atoms:
Tm 0.347 0.174 0.750
Tm 0.174 0.347 0.250
Tm 0.174 0.826 0.250
Tm 0.826 0.653 0.750
Tm 0.826 0.174 0.750
Tm 0.653 0.826 0.250
Ga 0.333 0.667 0.750
Ga 0.667 0.333 0.250

Summary:
Magnetization: 0.022 μB per formula unit


(3)
Here is crystalline LaPr3Al4O12 at its relaxed geometry from the Materials Project database. Energies are from PBE.

Cell lengths 5.366, 5.366, 7.627 Å; angles 90.00, 90.00, 90.00 degrees
Fractional coordinates of all 20 atoms:
O 0.215 0.785 0.252
O 0.500 0.000 0.000
O 0.000 0.500 0.000
O 0.000 0.500 0.500
O 0.785 0.215 0.252
O 0.215 0.215 0.748
O 0.714 0.714 0.246
O 0.500 0.000 0.500
O 0.286 0.714 0.754
O 0.714 0.286 0.754
O 0.785 0.785 0.748
O 0.286 0.286 0.246
Pr 0.000 0.000 0.000
Pr 0.500 0.500 0.000
Pr 0.500 0.500 0.500
Al 0.000 0.500 0.250
Al 0.000 0.500 0.750
Al 0.500 0.000 0.250
Al 0.500 0.000 0.750
La 0.000 0.000 0.500

Summary:
Offset from the most stable computed form: 2.1 meV per atom
Magnetization: 0.000 μB per formula unit


(4)
Here is crystalline NaSn2P3O12 at its relaxed geometry from the Materials Project database. Energies are from PBE.

Cell lengths 8.615, 8.649, 9.138 Å; angles 62.11, 62.20, 60.14 degrees
Fractional coordinates of all 36 atoms:
Na 0.165 0.481 0.562
Na 0.835 0.519 0.438
O 0.776 0.005 0.379
O 0.390 0.511 0.910
O 0.224 0.995 0.621
O 0.889 0.770 0.235
O 0.544 0.984 0.297
O 0.986 0.710 0.925
O 0.207 0.891 0.939
O 0.014 0.290 0.075
O 0.793 0.109 0.061
O 0.173 0.051 0.299
O 0.479 0.697 0.272
O 0.827 0.949 0.701
O 0.456 0.016 0.703
O 0.742 0.395 0.754
O 0.610 0.489 0.090
O 0.111 0.230 0.765
O 0.107 0.397 0.227
O 0.467 0.368 0.420
O 0.533 0.632 0.580
O 0.893 0.603 0.773
O 0.843 0.283 0.394
O 0.258 0.605 0.246
O 0.157 0.717 0.606
O 0.521 0.303 0.728
Sn 0.853 0.348 0.936
Sn 0.351 0.853 0.442
Sn 0.649 0.147 0.558
Sn 0.147 0.652 0.064
P 0.540 0.460 0.748
P 0.748 0.970 0.244
P 0.252 0.030 0.756
P 0.036 0.251 0.247
P 0.964 0.749 0.753
P 0.460 0.540 0.252

Summary:
Offset from the most stable computed form: 30.2 meV per atom
Magnetization: 0.001 μB per formula unit


(5)
Here is crystalline Li3Bi2P3O12 at its relaxed geometry from the Materials Project database. Energies are from PBE.

Cell lengths 9.450, 8.814, 12.853 Å; angles 81.95, 90.00, 90.00 degrees
Fractional coordinates of all 80 atoms:
Li 0.610 0.500 0.750
Li 0.816 0.280 0.057
Li 0.888 0.000 0.750
Li 0.500 0.500 0.500
Li 0.112 0.000 0.250
Li 0.500 0.500 0.000
Li 0.184 0.720 0.943
Li 0.390 0.500 0.250
Li 0.000 0.000 0.000
Li 0.000 0.000 0.500
Li 0.816 0.720 0.443
Li 0.184 0.280 0.557
O 0.248 0.126 0.684
O 0.637 0.296 0.808
O 0.759 0.370 0.308
O 0.605 0.266 0.004
O 0.433 0.560 0.834
O 0.875 0.229 0.690
O 0.605 0.734 0.496
O 0.637 0.704 0.692
O 0.059 0.065 0.830
O 0.328 0.679 0.437
O 0.596 0.970 0.599
O 0.125 0.771 0.310
O 0.081 0.764 0.498
O 0.059 0.935 0.670
O 0.879 0.507 0.929
O 0.175 0.166 0.433
O 0.825 0.834 0.567
O 0.672 0.321 0.563
O 0.241 0.370 0.808
O 0.248 0.874 0.816
O 0.825 0.166 0.933
O 0.752 0.126 0.184
O 0.875 0.771 0.810
O 0.363 0.296 0.308
O 0.121 0.493 0.071
O 0.919 0.764 0.998
O 0.328 0.321 0.063
O 0.175 0.834 0.067
O 0.121 0.507 0.429
O 0.395 0.734 0.996
O 0.752 0.874 0.316
O 0.759 0.630 0.192
O 0.404 0.970 0.099
O 0.919 0.236 0.502
O 0.241 0.630 0.692
O 0.567 0.560 0.334
O 0.433 0.440 0.666
O 0.879 0.493 0.571
O 0.363 0.704 0.192
O 0.125 0.229 0.190
O 0.404 0.030 0.401
O 0.567 0.440 0.166
O 0.941 0.935 0.170
O 0.941 0.065 0.330
O 0.081 0.236 0.002
O 0.395 0.266 0.504
O 0.596 0.030 0.901
O 0.672 0.679 0.937
P 0.338 0.814 0.090
P 0.669 0.500 0.250
P 0.662 0.186 0.910
P 0.338 0.186 0.410
P 0.662 0.814 0.590
P 0.162 0.000 0.750
P 0.838 0.000 0.250
P 0.836 0.322 0.582
P 0.164 0.678 0.418
P 0.164 0.322 0.082
P 0.836 0.678 0.918
P 0.331 0.500 0.750
Bi 0.997 0.314 0.340
Bi 0.495 0.191 0.161
Bi 0.505 0.191 0.661
Bi 0.505 0.809 0.839
Bi 0.003 0.686 0.660
Bi 0.495 0.809 0.339
Bi 0.997 0.686 0.160
Bi 0.003 0.314 0.840

Summary:
Offset from the most stable computed form: 53.3 meV per atom
Magnetization: 0.000 μB per formula unit


(6)
Here is crystalline Hg at its relaxed geometry from the Materials Project database. Energies are from PBE.

Cell lengths 6.727, 6.310, 3.494 Å; angles 81.17, 67.95, 30.88 degrees
Fractional coordinates of all 2 atoms:
Hg 0.366 0.366 0.634
Hg 0.634 0.634 0.366

Summary:
Offset from the most stable computed form: 19.2 meV per atom


(7)
Here is crystalline CsCuAg2C4N4 at its relaxed geometry from the Materials Project database. Energies are from PBE.

Cell lengths 8.097, 7.553, 8.342 Å; angles 104.08, 90.00, 90.00 degrees
Fractional coordinates of all 24 atoms:
N 0.131 0.331 0.850
N 0.615 0.670 0.426
N 0.385 0.670 0.926
N 0.869 0.669 0.150
N 0.385 0.330 0.574
N 0.615 0.330 0.074
N 0.131 0.669 0.650
N 0.869 0.331 0.350
C 0.080 0.211 0.904
C 0.418 0.210 0.459
C 0.080 0.789 0.596
C 0.920 0.211 0.404
C 0.920 0.789 0.096
C 0.418 0.790 0.041
C 0.582 0.210 0.959
C 0.582 0.790 0.541
Cu 0.742 0.500 0.250
Cu 0.258 0.500 0.750
Cs 0.245 0.500 0.250
Cs 0.755 0.500 0.750
Ag 0.000 0.000 0.500
Ag 0.441 0.000 0.250
Ag 0.000 0.000 0.000
Ag 0.559 0.000 0.750

Summary:
Magnetization: 0.000 μB per formula unit


(8)
Here is crystalline GeO2 at its relaxed geometry from the Materials Project database. Energies are from PBE.

Cell lengths 7.663, 7.663, 7.645 Å; angles 75.87, 75.87, 120.38 degrees
Fractional coordinates of all 24 atoms:
O 0.199 0.956 0.928
O 0.640 0.360 0.750
O 0.360 0.640 0.250
O 0.347 0.264 0.476
O 0.117 0.420 0.667
O 0.044 0.801 0.572
O 0.264 0.347 0.976
O 0.580 0.883 0.833
O 0.736 0.653 0.024
O 0.000 0.500 0.000
O 0.801 0.044 0.072
O 0.883 0.580 0.333
O 0.500 0.000 0.500
O 0.956 0.199 0.428
O 0.420 0.117 0.167
O 0.653 0.736 0.524
Ge 0.625 0.804 0.043
Ge 0.958 0.676 0.075
Ge 0.804 0.625 0.543
Ge 0.676 0.958 0.575
Ge 0.324 0.042 0.425
Ge 0.375 0.196 0.957
Ge 0.196 0.375 0.457
Ge 0.042 0.324 0.925


(9)
Here is crystalline LuMgTl at its relaxed geometry from the Materials Project database. Energies are from PBE.

Cell lengths 7.472, 7.472, 4.625 Å; angles 90.00, 90.00, 120.00 degrees
Fractional coordinates of all 9 atoms:
Tl 0.333 0.667 0.500
Tl 0.667 0.333 0.500
Tl 0.000 0.000 0.000
Lu 0.574 0.000 0.000
Lu 0.426 0.426 0.000
Lu 0.000 0.574 0.000
Mg 0.000 0.246 0.500
Mg 0.754 0.754 0.500
Mg 0.246 0.000 0.500


(10)
Here is crystalline Ca11InSb9 at its relaxed geometry from the Materials Project database. Energies are from PBE.

Cell lengths 12.108, 12.108, 12.108 Å; angles 120.90, 117.15, 91.72 degrees
Fractional coordinates of all 42 atoms:
Ca 0.563 0.750 0.639
Ca 0.072 0.808 0.629
Ca 0.063 0.424 0.813
Ca 0.925 0.183 0.374
Ca 0.319 0.331 0.660
Ca 0.876 0.081 0.649
Ca 0.679 0.308 0.736
Ca 0.432 0.226 0.351
Ca 0.309 0.683 0.258
Ca 0.610 0.250 0.187
Ca 0.669 0.669 0.000
Ca 0.179 0.443 0.371
Ca 0.425 0.051 0.742
Ca 0.572 0.943 0.264
Ca 0.819 0.159 0.988
Ca 0.169 0.169 0.000
Ca 0.932 0.581 0.206
Ca 0.809 0.551 0.626
Ca 0.376 0.726 0.794
Ca 0.671 0.659 0.340
Ca 0.110 0.924 0.361
Ca 0.171 0.831 0.012
Sb 0.248 0.748 0.500
Sb 0.159 0.151 0.702
Sb 0.502 0.503 0.648
Sb 0.884 0.457 0.355
Sb 0.002 0.354 0.999
Sb 0.384 0.028 0.426
Sb 0.855 0.854 0.352
Sb 0.621 0.366 0.984
Sb 0.121 0.136 0.254
Sb 0.602 0.957 0.574
Sb 0.355 0.003 0.001
Sb 0.102 0.528 0.645
Sb 0.748 0.248 0.500
Sb 0.449 0.457 0.298
Sb 0.882 0.866 0.746
Sb 0.659 0.957 0.008
Sb 0.382 0.636 0.016
Sb 0.949 0.651 0.992
In 0.886 0.886 0.000
In 0.386 0.386 0.000


(11)
Here is crystalline TbGe2Rh2 at its relaxed geometry from the Materials Project database. Energies are from PBE.

Cell lengths 5.970, 5.970, 5.970 Å; angles 139.34, 139.34, 58.86 degrees
Fractional coordinates of all 5 atoms:
Tb 0.000 0.000 0.000
Ge 0.622 0.622 0.000
Ge 0.378 0.378 0.000
Rh 0.250 0.750 0.500
Rh 0.750 0.250 0.500


(12)
Here is crystalline TiNb3P6O24 at its relaxed geometry from the Materials Project database. Energies are from PBE.

Cell lengths 8.982, 8.982, 8.982 Å; angles 58.64, 58.64, 58.64 degrees
Fractional coordinates of all 34 atoms:
O 0.495 0.868 0.719
O 0.134 0.281 0.503
O 0.419 0.562 0.790
O 0.710 0.938 0.081
O 0.719 0.495 0.868
O 0.364 0.997 0.219
O 0.437 0.211 0.581
O 0.281 0.503 0.134
O 0.581 0.437 0.211
O 0.562 0.790 0.419
O 0.064 0.923 0.286
O 0.997 0.219 0.364
O 0.790 0.419 0.562
O 0.503 0.134 0.281
O 0.938 0.081 0.710
O 0.286 0.064 0.923
O 0.923 0.286 0.064
O 0.219 0.364 0.997
O 0.081 0.710 0.938
O 0.781 0.633 0.004
O 0.004 0.781 0.633
O 0.211 0.581 0.437
O 0.868 0.719 0.495
O 0.633 0.004 0.781
P 0.967 0.249 0.530
P 0.756 0.461 0.036
P 0.249 0.530 0.967
P 0.530 0.967 0.249
P 0.461 0.036 0.756
P 0.036 0.756 0.461
Ti 0.142 0.142 0.142
Nb 0.641 0.641 0.641
Nb 0.359 0.359 0.359
Nb 0.859 0.859 0.859

Summary:
Magnetization: 1.001 μB per formula unit


(13)
Here is crystalline Mg6ZrZn at its relaxed geometry from the Materials Project database. Energies are from PBE.

Cell lengths 4.970, 6.070, 11.377 Å; angles 90.00, 90.00, 90.00 degrees
Fractional coordinates of all 16 atoms:
Mg 0.500 0.250 0.925
Mg 0.000 0.746 0.081
Mg 0.000 0.500 0.818
Mg 0.000 0.254 0.081
Mg 0.500 0.250 0.425
Mg 0.000 0.000 0.831
Mg 0.000 0.000 0.318
Mg 0.000 0.246 0.581
Mg 0.500 0.750 0.425
Mg 0.000 0.500 0.331
Mg 0.500 0.750 0.925
Mg 0.000 0.754 0.581
Zr 0.500 0.500 0.177
Zr 0.500 0.000 0.677
Zn 0.500 0.000 0.162
Zn 0.500 0.500 0.662

Summary:
Offset from the most stable computed form: 5.1 meV per atom
Magnetization: 0.002 μB per formula unit


(14)
Here is crystalline LaGaO3 at its relaxed geometry from the Materials Project database. Energies are from PBE.

Cell lengths 3.913, 3.913, 3.913 Å; angles 90.00, 90.00, 90.00 degrees
Fractional coordinates of all 5 atoms:
O 0.500 0.000 0.000
O 0.000 0.500 0.000
O 0.000 0.000 0.500
Ga 0.000 0.000 0.000
La 0.500 0.500 0.500

Summary:
Magnetization: 0.000 μB per formula unit


Number 1: calculated formation energy -619 meV/atom. Number 2: calculated formation energy -239 meV/atom. Number 3: calculated formation energy -3671 meV/atom. Number 4: calculated formation energy -2500 meV/atom. Number 5: calculated formation energy -2460 meV/atom. Number 6: calculated formation energy 19 meV/atom. Number 7: calculated formation energy 69 meV/atom. Number 8: calculated formation energy -2032 meV/atom. Number 9: calculated formation energy -257 meV/atom. Number 10: calculated formation energy -1055 meV/atom. Number 11: calculated formation energy -889 meV/atom. Number 12: calculated formation energy -2907 meV/atom. Number 13: calculated formation energy 33 meV/atom. Number 14: calculated formation energy -3034 meV/atom.